Record 1
# BaTlCu3Se4

An optimized crystal structure of BaTlCu3Se4 (PBE-GGA, the Materials Project database).

E_form	-4.0	eV per formula unit
crystal system	cubic
corrected total energy (MP2020 scheme)	-34.54	eV for the cell shown
E_tot	-0.13332	hartree per atom

```
9
Lattice="6.4301 0.0000 0.0000 0.0000 6.4301 0.0000 0.0000 0.0000 6.4301" Properties=species:S:1:pos:R:3 pbc="T T T"
Ba 0.0000 0.0000 0.0000
Tl 3.2150 3.2150 3.2150
Cu 0.0000 3.2150 3.2150
Cu 3.2150 0.0000 3.2150
Cu 3.2150 3.2150 0.0000
Se 1.7295 1.7295 4.7006
Se 1.7295 4.7006 1.7295
Se 4.7006 1.7295 1.7295
Se 4.7006 4.7006 4.7006
```

Record 2
# Ba2UCu2Se5

An optimized crystal structure of Ba2UCu2Se5 (PBE-GGA, the Materials Project database).

E_form	-15.1	eV per formula unit
crystal system	monoclinic
corrected total energy (MP2020 scheme)	-55.87	eV for the cell shown
E_tot	-0.19664	hartree per atom

```
10
Lattice="7.0801 -2.1218 0.0000 7.0801 2.1218 0.0000 -4.2744 0.0000 8.7839" Properties=species:S:1:pos:R:3 pbc="T T T"
Ba 1.6138 0.0000 1.7614
Ba 8.2719 0.0000 7.0225
U -2.1372 0.0000 4.3920
Cu 5.4385 0.0000 1.8345
Cu 4.4472 0.0000 6.9494
Se -1.3649 0.0000 7.1007
Se 3.0476 0.0000 4.9313
Se 7.0801 0.0000 0.0000
Se 6.8381 0.0000 3.8526
Se 11.2506 0.0000 1.6832
```

Record 3
# BaYCu3Se4

An optimized crystal structure of BaYCu3Se4 (PBE-GGA, the Materials Project database).

E_form	-8.7	eV per formula unit
crystal system	cubic
corrected total energy (MP2020 scheme)	-43.39	eV for the cell shown
E_tot	-0.16945	hartree per atom

```
9
Lattice="6.4900 0.0000 0.0000 0.0000 6.4900 0.0000 0.0000 0.0000 6.4900" Properties=species:S:1:pos:R:3 pbc="T T T"
Ba 0.0000 0.0000 0.0000
Y 3.2450 3.2450 3.2450
Cu 0.0000 3.2450 3.2450
Cu 3.2450 0.0000 3.2450
Cu 3.2450 3.2450 0.0000
Se 1.7391 1.7391 4.7509
Se 1.7391 4.7509 1.7391
Se 4.7509 1.7391 1.7391
Se 4.7509 4.7509 4.7509
```

Record 4
# Ba8CuSi16

An optimized crystal structure of Ba8CuSi16 (PBE-GGA, the Materials Project database).

E_form	-3.3	eV per formula unit
crystal system	triclinic
corrected total energy (MP2020 scheme)	-109.55	eV for the cell shown
E_tot	-0.16270	hartree per atom

```
25
Lattice="7.2092 0.0000 0.0000 0.8045 8.3952 0.0000 0.3589 0.2324 12.1571" Properties=species:S:1:pos:R:3 pbc="T T T"
Ba 0.0000 0.0000 0.0000
Ba 0.4883 4.2859 0.9956
Ba 1.0572 6.3659 8.4364
Ba 3.9679 8.4588 6.7758
Ba 3.9499 6.8083 2.5416
Ba 4.0170 2.8456 10.7246
Ba 4.2121 4.2670 5.9481
Ba 7.1873 1.5473 4.3952
Cu 6.2509 4.7388 9.8721
Si 0.4165 1.2320 8.6762
Si 0.7255 3.1036 10.2106
Si 1.7090 6.6758 5.1180
Si 1.9318 3.0085 8.0547
Si 2.4405 1.5871 1.7336
Si 3.2226 6.0708 11.3494
Si 3.4948 3.5014 2.5555
Si 4.3442 8.1130 10.6372
Si 3.6074 1.5386 3.8096
Si 4.3953 6.0717 9.2592
Si 5.6222 6.2703 11.5304
Si 5.6143 1.6279 7.4065
Si 6.5197 6.9008 5.2065
Si 6.8272 3.5082 7.9365
Si 7.6302 6.9336 3.1080
Si 7.5552 4.8307 4.3742
```

Record 5
# Ba8CuSi16

An optimized crystal structure of Ba8CuSi16 (PBE-GGA, the Materials Project database).

E_form	-3.8	eV per formula unit
crystal system	triclinic
corrected total energy (MP2020 scheme)	-110.08	eV for the cell shown
E_tot	-0.16349	hartree per atom

```
25
Lattice="6.9066 0.0000 0.0000 0.6753 9.0351 0.0000 0.0739 0.0698 11.9071" Properties=species:S:1:pos:R:3 pbc="T T T"
Ba 0.0000 0.0000 0.0000
Ba 0.3586 2.7264 3.2076
Ba 0.9670 7.1219 4.3301
Ba 3.0988 2.4470 10.2851
Ba 3.2194 1.0686 5.7871
Ba 3.8924 7.1505 9.4314
Ba 4.1563 5.7988 1.9127
Ba 6.6840 4.1171 7.8901
Cu 5.7713 7.5480 6.8237
Si 0.6818 5.5882 1.4132
Si 0.9926 7.7455 7.6680
Si 0.8400 0.8467 8.5144
Si 1.9274 5.3857 11.2445
Si 2.3918 0.1058 2.6669
Si 2.8840 4.4175 5.0333
Si 3.2510 4.3185 7.3313
Si 3.7222 2.0266 1.9606
Si 4.2532 9.0113 0.5946
Si 4.1752 6.1293 6.0247
Si 5.1613 4.5449 10.7858
Si 5.4729 9.0072 2.6853
Si 5.4036 0.4427 8.3308
Si 6.5671 6.2994 11.2208
Si 6.7086 0.7854 6.3140
Si 7.1493 3.7539 11.8643
```

Record 6
# Ba8CuSi16

An optimized crystal structure of Ba8CuSi16 (PBE-GGA, the Materials Project database).

E_form	-3.3	eV per formula unit
crystal system	triclinic
corrected total energy (MP2020 scheme)	-109.61	eV for the cell shown
E_tot	-0.16279	hartree per atom

```
25
Lattice="7.0366 0.0000 0.0000 0.5385 8.4077 0.0000 0.7802 0.7662 12.2725" Properties=species:S:1:pos:R:3 pbc="T T T"
Ba 0.0000 0.0000 0.0000
Ba 0.6070 2.0015 7.7398
Ba 4.1308 7.6188 6.2586
Ba 3.7262 1.7148 2.7322
Ba 4.3857 4.0054 10.4650
Ba 4.0427 5.8354 1.6375
Ba 7.2143 6.0717 8.6723
Ba 7.2763 4.5429 4.3289
Cu 7.1885 2.0357 2.3824
Si 0.9988 3.8428 11.0682
Si 1.4909 3.2767 0.8350
Si 2.4458 7.8566 9.2523
Si 2.7230 4.5541 6.9678
Si 3.1814 1.2889 9.7266
Si 3.8208 4.5813 4.8384
Si 3.8109 2.5126 6.1495
Si 4.4659 7.3605 10.4818
Si 4.3124 0.9076 11.8701
Si 5.0983 4.3983 6.8698
Si 5.4904 0.6586 9.7532
Si 5.9478 3.2681 0.7851
Si 6.5643 7.6996 3.4405
Si 7.0404 1.2262 4.4813
Si 7.7404 7.5504 5.4846
Si 7.2929 5.1872 0.0574
```

Record 7
# Ba8CuSi16

An optimized crystal structure of Ba8CuSi16 (PBE-GGA, the Materials Project database).

E_form	-7.1	eV per formula unit
crystal system	monoclinic
corrected total energy (MP2020 scheme)	-113.37	eV for the cell shown
E_tot	-0.16831	hartree per atom

```
25
Lattice="9.1579 0.0000 0.0000 0.0000 6.7687 0.0000 -0.0972 0.0000 11.5838" Properties=species:S:1:pos:R:3 pbc="T T T"
Ba 0.0000 0.0000 0.0000
Ba 0.1960 3.3843 4.4639
Ba 1.5086 0.0000 6.9567
Ba 3.1358 3.3843 1.2521
Ba 4.5270 0.0000 10.3180
Ba 4.7985 3.3843 5.7649
Ba 6.1143 0.0000 3.3350
Ba 7.9312 3.3843 9.0074
Cu 5.3105 3.3843 10.6704
Si 0.8661 0.0000 3.3095
Si 1.7887 2.1636 9.7096
Si 1.7887 4.6051 9.7096
Si 1.8604 3.3843 7.6206
Si 2.8337 0.0000 1.8654
Si 2.8745 1.2003 3.9523
Si 2.8745 5.5684 3.9523
Si 3.7626 3.3843 9.0478
Si 5.4190 0.0000 6.9600
Si 6.4927 3.3843 2.6225
Si 6.5366 2.0498 0.6286
Si 6.5366 4.7189 0.6286
Si 7.3626 0.0000 8.4241
Si 7.4396 1.2018 6.3386
Si 7.4396 5.5669 6.3386
Si 8.4818 3.3843 1.1535
```

Record 8
# BaCu9Sn4

An optimized crystal structure of BaCu9Sn4 (PBE-GGA, the Materials Project database).

E_form	-2.0	eV per formula unit
crystal system	tetragonal
E_tot	-0.14914	hartree per atom

```
28
Lattice="-4.3660 4.3660 6.3126 4.3660 -4.3660 6.3126 4.3660 4.3660 -6.3126" Properties=species:S:1:pos:R:3 pbc="T T T"
Ba 0.0000 0.0000 3.1563
Ba 0.0000 0.0000 9.4689
Cu 4.3660 0.0000 0.0000
Cu 6.9541 0.4902 0.0000
Cu 3.4176 -0.9483 2.1963
Cu 0.4902 1.7778 0.0000
Cu 5.3143 -0.9483 4.1163
Cu 5.3143 0.9483 2.1963
Cu 4.8561 2.5881 0.0000
Cu 3.4176 0.9483 4.1163
Cu 2.5881 3.8758 0.0000
Cu 0.0000 4.3660 0.0000
Cu 1.7778 0.4902 6.3126
Cu 0.9483 3.4176 2.1963
Cu -0.4902 1.7778 6.3126
Cu -0.9483 3.4176 4.1163
Cu -0.9483 5.3143 2.1963
Cu 3.8758 2.5881 6.3126
Cu 0.9483 5.3143 4.1163
Cu -2.5881 3.8758 6.3126
Sn 2.7616 1.6044 -1.5709
Sn 2.7616 -1.6044 4.7417
Sn 2.7616 1.6044 1.5709
Sn 2.7616 -1.6044 7.8835
Sn 1.6044 5.9704 -1.5709
Sn 1.6044 2.7616 4.7417
Sn 1.6044 5.9704 1.5709
Sn 1.6044 2.7616 7.8835
```

Record 9
# BaCuSn2

An optimized crystal structure of BaCuSn2 (PBE-GGA, the Materials Project database).

E_form	-1.8	eV per formula unit
crystal system	orthorhombic
E_tot	-0.14556	hartree per atom

```
16
Lattice="4.8631 0.0000 0.0000 0.0000 19.6208 0.0000 0.0000 0.0000 4.6918" Properties=species:S:1:pos:R:3 pbc="T T T"
Ba 0.0000 2.1209 1.1730
Ba 0.0000 17.4999 3.5189
Ba 2.4315 7.6895 3.5189
Ba 2.4315 11.9313 1.1730
Cu 0.0000 6.2958 1.1730
Cu 0.0000 13.3250 3.5189
Cu 2.4315 3.5146 3.5189
Cu 2.4315 16.1062 1.1730
Sn 0.0000 4.9040 3.5189
Sn 0.0000 8.9600 1.1730
Sn 0.0000 10.6608 3.5189
Sn 0.0000 14.7168 1.1730
Sn 2.4315 0.8504 3.5189
Sn 2.4315 4.9064 1.1730
Sn 2.4315 14.7145 3.5189
Sn 2.4315 18.7704 1.1730
```

Record 10
# BaDy

An optimized crystal structure of BaDy (PBE-GGA, the Materials Project database).

E_form	0.6	eV per formula unit
crystal system	hexagonal
E_tot	-0.10839	hartree per atom

```
2
Lattice="3.8805 0.0000 0.0000 -1.9403 3.3607 0.0000 0.0000 0.0000 6.4805" Properties=species:S:1:pos:R:3 pbc="T T T"
Ba 0.0000 0.0000 0.0000
Dy 1.9403 1.1202 3.2403
```

Record 11
# Ba3Dy

An optimized crystal structure of Ba3Dy (PBE-GGA, the Materials Project database).

E_form	0.9	eV per formula unit
crystal system	hexagonal
E_tot	-0.08691	hartree per atom

```
8
Lattice="8.4151 0.0000 0.0000 -4.2076 7.2877 0.0000 0.0000 0.0000 6.7188" Properties=species:S:1:pos:R:3 pbc="T T T"
Ba 0.0000 2.5136 1.6797
Ba -2.0307 6.0309 1.6797
Ba 2.1769 1.2568 5.0391
Ba 2.0307 6.0309 1.6797
Ba 6.2383 1.2568 5.0391
Ba 4.2076 4.7741 5.0391
Dy 0.0000 4.8585 5.0391
Dy 4.2076 2.4292 1.6797
```

Record 12
# BaEuDySbO6

An optimized crystal structure of BaEuDySbO6 (PBE-GGA, the Materials Project database).

E_form	-30.4	eV per formula unit
crystal system	cubic
corrected total energy (MP2020 scheme)	-81.03	eV for the cell shown
E_tot	-0.28262	hartree per atom

```
10
Lattice="0.0000 4.2270 4.2270 4.2270 0.0000 4.2270 4.2270 4.2270 0.0000" Properties=species:S:1:pos:R:3 pbc="T T T"
Ba 0.0000 0.0000 0.0000
Eu 4.2270 4.2270 4.2270
Dy 2.1135 2.1135 2.1135
Sb 6.3405 6.3405 6.3405
O 6.3405 6.3405 4.3360
O 6.3405 4.3360 6.3405
O 8.3450 6.3405 6.3405
O 4.3360 6.3405 6.3405
O 6.3405 8.3450 6.3405
O 6.3405 6.3405 8.3450
```